[1]
Computed, not measured: a relaxed Er3TaO7 crystal at the PBE level of DFT.

Results
MP2020-corrected energy: -205.91 eV per cell
calculated formation energy: -3.887 eV/atom
crystal system: triclinic
energy relative to the lowest polymorph listed for this composition: 0.000 eV/atom
V: 293 Å³ per cell

CIF file:
```
data_Er3TaO7
_cell_length_a 6.350
_cell_length_b 6.439
_cell_length_c 7.550
_cell_angle_alpha 73.20
_cell_angle_beta 89.64
_cell_angle_gamma 82.27
_symmetry_space_group_name_H-M 'P -1'
_symmetry_Int_Tables_number 2
loop_
_symmetry_equiv_pos_as_xyz
'x,y,z'
'-x,-y,-z'
loop_
_atom_site_label
_atom_site_fract_x
_atom_site_fract_y
_atom_site_fract_z
_atom_site_occupancy
Er1 0.045 0.007 0.250 1
Er2 0.232 0.542 0.109 1
Er3 0.237 0.539 0.615 1
Ta1 0.500 0.000 0.000 1
Ta2 0.500 0.000 0.500 1
O1 0.043 0.639 0.843 1
O2 0.058 0.651 0.333 1
O3 0.207 0.927 0.552 1
O4 0.207 0.935 0.980 1
O5 0.404 0.061 0.234 1
O6 0.423 0.321 0.460 1
O7 0.432 0.334 0.886 1
```

[2]
Computed, not measured: a relaxed Er3TaO7 crystal at the PBE level of DFT.

Results
MP2020-corrected energy: -410.97 eV per cell
calculated formation energy: -3.868 eV/atom
crystal system: orthorhombic
energy relative to the lowest polymorph listed for this composition: 0.019 eV/atom
V: 587 Å³ per cell

CIF file:
```
data_Er3TaO7
_cell_length_a 7.429
_cell_length_b 10.526
_cell_length_c 7.508
_cell_angle_alpha 90.00
_cell_angle_beta 90.00
_cell_angle_gamma 90.00
_symmetry_space_group_name_H-M 'P n m a'
_symmetry_Int_Tables_number 62
loop_
_symmetry_equiv_pos_as_xyz
'x,y,z'
'-x,-y,-z'
'-x+1/2,-y,z+1/2'
'x+1/2,y,-z+1/2'
'x+1/2,-y+1/2,-z+1/2'
'-x+1/2,y+1/2,z+1/2'
'-x,y+1/2,-z'
'x,-y+1/2,z'
loop_
_atom_site_label
_atom_site_fract_x
_atom_site_fract_y
_atom_site_fract_z
_atom_site_occupancy
Er1 0.012 0.250 0.205 1
Er2 0.248 0.020 0.532 1
Ta1 0.001 0.250 0.748 1
O1 0.036 0.124 0.954 1
O2 0.040 0.612 0.418 1
O3 0.245 0.616 0.769 1
O4 0.248 0.250 0.664 1
```

[3]
Computed, not measured: a relaxed ErTa7O19 crystal at the PBE level of DFT.

Results
MP2020-corrected energy: -547.68 eV per cell
calculated formation energy: -3.417 eV/atom
crystal system: hexagonal
V: 681 Å³ per cell

CIF file:
```
data_ErTa7O19
_cell_length_a 6.2579
_cell_length_b 6.2579
_cell_length_c 20.0671
_cell_angle_alpha 90.00
_cell_angle_beta 90.00
_cell_angle_gamma 120.00
_symmetry_space_group_name_H-M 'P -6 c 2'
_symmetry_Int_Tables_number 188
_symmetry_space_group_name_Hall 'P -6c 2'
loop_
_atom_site_label
_atom_site_fract_x
_atom_site_fract_y
_atom_site_fract_z
_atom_site_occupancy
Er1 0.0000 0.0000 0.0000 1
Ta1 0.0271 0.3332 0.1553 1
Ta2 0.3333 0.6667 0.0000 1
O1 0.0000 0.0000 0.1306 1
O2 0.0402 0.2906 0.2500 1
O3 0.0938 0.3759 0.0553 1
O4 0.3333 0.6667 0.1660 1
O5 0.4195 0.0859 0.6530 1
```

[4]
Computed, not measured: a relaxed ErTa3O9 crystal at the PBE level of DFT.

Results
MP2020-corrected energy: -260.87 eV per cell
calculated formation energy: -3.520 eV/atom
crystal system: monoclinic
energy relative to the lowest polymorph listed for this composition: 0.000 eV/atom
V: 329 Å³ per cell

CIF file:
```
data_ErTa3O9
_cell_length_a 5.273
_cell_length_b 7.518
_cell_length_c 8.311
_cell_angle_alpha 90.00
_cell_angle_beta 92.46
_cell_angle_gamma 90.00
_symmetry_space_group_name_H-M 'P 1 21/m 1'
_symmetry_Int_Tables_number 11
loop_
_symmetry_equiv_pos_as_xyz
'x,y,z'
'-x,-y,-z'
'-x,y+1/2,-z'
'x,-y+1/2,z'
loop_
_atom_site_label
_atom_site_fract_x
_atom_site_fract_y
_atom_site_fract_z
_atom_site_occupancy
Er1 0.036 0.250 0.435 1
Ta1 0.000 0.000 0.000 1
Ta2 0.470 0.007 0.695 1
O1 0.095 0.250 0.977 1
O2 0.147 0.566 0.784 1
O3 0.256 0.543 0.467 1
O4 0.327 0.552 0.121 1
O5 0.335 0.250 0.653 1
O6 0.419 0.250 0.316 1
```